Here is a geometry-optimized Sb2S3O12 structure from the Materials Project. Energies are from PBE.

POSCAR file:
```
Sb2S3O12
1.0
4.4504 2.5695 8.1065
-4.4504 2.5695 8.1065
0.0000 -5.1389 8.1065
Sb S O
4 6 24
Cartesian
0.0000 0.0000 3.4732
0.0000 0.0000 8.4538
0.0000 0.0000 15.8656
0.0000 0.0000 20.8461
-3.1620 -0.3092 10.1126
-1.3132 -2.8930 14.2068
1.8488 -2.5838 10.1126
-1.8488 2.5838 14.2068
1.3132 2.8930 10.1126
3.1620 0.3092 14.2068
-3.4909 -0.9260 11.4305
-3.2238 1.1840 10.2321
-2.6372 -2.1999 14.0873
-0.2962 -1.8368 7.1418
-1.7892 -0.7270 9.7222
-0.9435 -3.4862 12.8888
-1.4427 1.1749 7.1418
0.5866 -3.3839 10.2321
-2.5474 2.5602 12.8888
-0.2650 -1.9130 14.5972
-1.7388 -0.6619 17.1776
1.5242 -1.1860 9.7222
-1.5242 1.1860 14.5972
1.7388 0.6619 7.1418
0.2650 1.9130 9.7222
2.5474 -2.5602 11.4305
-0.5866 3.3839 14.0873
1.4427 -1.1749 17.1775
0.9435 3.4862 11.4305
1.7892 0.7270 14.5972
0.2962 1.8368 17.1775
2.6372 2.1999 10.2320
3.2238 -1.1840 14.0873
3.4909 0.9260 12.8888
```

Properties
space-group type = R-3, No. 148
formation enthalpy at 0 K = -1.78 eV per atom
total energy after the MP2020 corrections = -6.4846 eV per atom

---

Here is a geometry-optimized Sb2S3O12 structure from the Materials Project. Energies are from PBE.

POSCAR file:
```
Sb2S3O12
1.0
9.2303 0.0000 0.0000
0.0000 9.2149 0.0000
-9.2259 0.0000 12.7733
Sb S O
8 12 48
Cartesian
-2.3142 0.3360 4.8716
-6.9272 4.2715 11.2583
2.2925 0.3283 1.4873
-2.3204 4.2791 7.8739
2.3249 4.9357 4.8994
-2.2881 8.8865 11.2860
6.9316 4.9434 1.5150
2.3186 8.8789 7.9017
-4.2637 6.8700 6.4668
0.3493 6.9523 0.0802
-5.5358 1.0798 10.8082
-0.9228 3.5276 4.4215
-3.6733 5.5909 10.8090
0.9397 8.2314 4.4223
-0.9352 0.9835 8.3510
3.6777 3.6239 1.9644
0.9273 5.6872 8.3518
5.5402 8.1351 1.9651
-0.3448 2.2626 12.6931
4.2681 2.3449 6.3065
-8.4229 5.8553 11.9641
-3.8099 7.9670 5.5775
-0.5694 6.4375 1.1319
-5.1823 7.3848 7.5186
0.3276 1.2298 0.7527
-4.2854 3.3777 7.1393
-6.3277 0.0685 10.0310
-1.7148 4.5389 3.6443
-1.2780 2.1483 3.9695
-5.8909 2.4592 10.3562
-3.0687 6.2661 7.1416
1.5442 7.5562 0.7549
-5.1626 5.6849 10.8614
-0.5496 8.1374 4.4747
-5.8360 0.9078 12.2483
-1.2230 3.6997 5.8616
-4.0823 0.8821 10.5471
0.5306 3.7253 4.1604
-1.4751 0.5999 7.0262
3.1379 4.0076 0.6395
1.3215 0.0995 3.4420
-3.2915 4.5080 9.8286
-3.1246 6.8869 10.3464
1.4883 6.9354 3.9598
-1.4839 2.2795 8.8136
3.1291 2.3279 2.4269
3.2959 4.7069 2.9447
-1.3170 9.1154 9.3314
-3.1334 5.2073 12.1338
1.4795 8.6150 5.7471
-0.5262 5.4896 8.6129
4.0868 8.3327 2.2263
1.2274 5.5152 6.9117
5.8404 8.3071 0.5250
0.5541 1.0774 8.2986
5.1670 3.5300 1.9119
-1.5398 1.6586 12.0184
3.0731 2.9488 5.6318
5.8953 6.7557 2.4171
1.2824 7.0666 8.8038
1.7192 4.6760 9.1290
6.3321 9.1463 2.7423
4.2898 5.8372 5.6340
-0.3232 7.9851 12.0206
5.1867 1.8300 5.2547
0.5738 2.7774 11.6414
3.8143 1.2478 7.1958
8.4273 3.3596 0.8092
```

Properties
space-group type = P2_1/c, No. 14
formation enthalpy at 0 K = -1.77 eV per atom
total energy after the MP2020 corrections = -6.4829 eV per atom

---

Here is a geometry-optimized Sb2S3O12 structure from the Materials Project. Energies are from PBE.

POSCAR file:
```
Sb2S3O12
1.0
7.0163 -4.5616 0.0000
7.0163 4.5616 0.0000
-4.0446 0.0000 8.3692
Sb S O
4 6 24
Cartesian
1.4854 2.3500 8.1436
6.4802 2.3500 4.4103
3.5077 -2.3500 3.9590
8.5025 -2.3500 0.2257
-0.6283 0.9608 5.6363
1.3940 -0.9608 1.4516
3.9828 0.5525 6.2769
6.0051 -0.5525 2.0923
8.5940 0.9608 6.9176
10.6163 -0.9608 2.7330
0.3150 1.6004 4.7671
-0.5599 1.4830 7.0635
5.0467 3.4300 3.1648
1.6200 0.5401 1.5804
6.9636 3.4300 1.0199
-0.4023 -0.5401 5.7650
2.9343 1.4661 6.8619
2.3373 -1.6004 0.5824
1.4624 -1.4830 2.8789
5.3869 0.2641 1.0377
5.0313 1.4661 5.6919
3.3646 -0.2641 5.2223
6.6234 0.2641 3.1469
4.9566 -1.4661 2.6773
4.6011 -0.2641 7.3315
8.5256 1.4830 5.4904
7.6506 1.6004 7.7868
7.0536 -1.4661 1.5073
10.3902 0.5401 2.6042
3.0244 -3.4300 7.3494
8.3679 -0.5401 6.7888
4.9413 -3.4300 5.2045
10.5479 -1.4830 1.3057
9.6729 -1.6004 3.6022
```

Properties
size of the total moment = 0.00 μB per cell
space-group type = C2/c, No. 15
formation enthalpy at 0 K = -1.74 eV per atom
total energy after the MP2020 corrections = -6.4435 eV per atom

---

Here is a geometry-optimized Sb2S3O12 structure from the Materials Project. Energies are from PBE.

POSCAR file:
```
Sb2S3O12
1.0
9.0726 0.0000 0.0000
0.0000 9.2326 0.0000
0.0000 0.0000 25.4540
Sb S O
16 24 96
Cartesian
0.0345 1.1013 1.6125
0.0345 3.5150 14.3396
0.0818 1.8092 8.1554
0.0818 2.8071 20.8824
4.4545 6.4255 8.1554
4.4545 7.4233 20.8824
4.5018 5.7176 1.6125
4.5018 8.1313 14.3396
4.5708 1.1013 11.1145
4.5708 3.5150 23.8415
4.6181 1.8092 4.5716
4.6181 2.8071 17.2986
8.9908 6.4255 4.5716
8.9908 7.4233 17.2986
9.0381 5.7176 11.1145
9.0381 8.1313 23.8415
1.3073 5.1251 7.5638
1.3073 8.7238 20.2908
1.3506 2.1819 11.4477
1.3506 2.4344 24.1747
1.7281 0.8087 15.6880
1.7281 3.8076 2.9610
2.8082 5.4250 15.6880
2.8082 8.4239 2.9610
3.1857 6.7982 11.4477
3.1857 7.0507 24.1747
3.2290 0.5088 7.5638
3.2290 4.1075 20.2908
5.8436 5.1251 5.1632
5.8436 8.7238 17.8902
5.8869 2.1819 1.2793
5.8869 2.4344 14.0064
6.2644 0.8087 22.4931
6.2644 3.8076 9.7661
7.3445 5.4250 22.4931
7.3445 8.4239 9.7661
7.7220 6.7982 1.2793
7.7220 7.0507 14.0064
7.7653 0.5088 5.1632
7.7653 4.1075 17.8902
0.6500 0.9529 11.7062
0.6500 3.6634 24.4332
0.7737 1.2596 25.0211
0.7737 3.3567 12.2941
0.8088 1.6505 14.8092
0.8088 2.9658 2.0822
0.8164 5.4845 8.9030
0.8164 8.3644 21.6300
0.8482 6.1692 6.5902
0.8482 7.6796 19.3172
0.8516 0.8338 19.8518
0.8516 3.7825 7.1248
0.8595 0.1437 16.7025
0.8595 4.4726 3.9755
1.2649 1.9631 22.7581
1.2649 2.6532 10.0310
1.7140 0.4862 7.5568
1.7140 4.1300 20.2838
1.7261 6.7715 11.8563
1.7261 7.0774 24.5833
1.8350 6.2825 16.3784
1.8350 7.5664 3.6513
2.1782 0.1750 2.0607
2.1782 4.4413 14.7877
2.3582 4.7913 2.0607
2.3582 9.0576 14.7877
2.7013 1.6662 16.3784
2.7013 2.9501 3.6513
2.8102 2.1552 11.8563
2.8102 2.4611 24.5833
2.8223 5.1025 7.5568
2.8223 8.7463 20.2838
3.2714 6.5794 22.7581
3.2714 7.2695 10.0310
3.6768 4.7600 16.7025
3.6768 9.0889 3.9755
3.6848 5.4501 19.8518
3.6848 8.3988 7.1248
3.6881 1.5529 6.5902
3.6881 3.0633 19.3172
3.7199 0.8682 8.9030
3.7199 3.7481 21.6300
3.7276 6.2668 14.8092
3.7276 7.5821 2.0822
3.7626 5.8759 25.0211
3.7626 7.9730 12.2941
3.8863 5.5692 11.7062
3.8863 8.2797 24.4332
5.1863 0.9529 1.0209
5.1863 3.6634 13.7479
5.3101 1.2596 13.1599
5.3101 3.3567 0.4329
5.3451 1.6505 23.3719
5.3451 2.9658 10.6448
5.3527 5.4845 3.8241
5.3527 8.3644 16.5511
5.3845 6.1692 6.1368
5.3845 7.6796 18.8639
5.3879 0.8338 18.3293
5.3879 3.7825 5.6023
5.3958 0.1437 21.4785
5.3958 4.4726 8.7515
5.8012 1.9631 15.4230
5.8012 2.6532 2.6960
6.2503 0.4862 5.1702
6.2503 4.1300 17.8972
6.2624 6.7715 0.8708
6.2624 7.0774 13.5978
6.3713 6.2825 21.8027
6.3713 7.5664 9.0757
6.7145 0.1750 10.6663
6.7145 4.4413 23.3934
6.8945 4.7913 10.6663
6.8945 9.0576 23.3934
7.2376 1.6662 21.8027
7.2376 2.9501 9.0757
7.3465 2.1552 0.8708
7.3465 2.4611 13.5978
7.3586 5.1025 5.1702
7.3586 8.7463 17.8972
7.8077 6.5794 15.4230
7.8077 7.2695 2.6960
8.2132 4.7600 21.4785
8.2132 9.0889 8.7515
8.2211 5.4501 18.3293
8.2211 8.3988 5.6023
8.2245 1.5529 6.1368
8.2245 3.0633 18.8639
8.2563 0.8682 3.8241
8.2563 3.7481 16.5511
8.2639 6.2668 23.3719
8.2639 7.5821 10.6448
8.2989 5.8759 13.1599
8.2989 7.9730 0.4329
8.4226 5.5692 1.0209
8.4226 8.2797 13.7479
```

Properties
size of the total moment = 0.02 μB per cell
space-group type = Pbca, No. 61
formation enthalpy at 0 K = -1.76 eV per atom
total energy after the MP2020 corrections = -6.4685 eV per atom

---

Here is a geometry-optimized Sb5S3O5 structure from the Materials Project. Energies are from PBE.

POSCAR file:
```
Sb5S3O5
1.0
5.8330 0.0000 0.0000
2.8716 13.2752 0.0000
2.8679 5.9341 15.4035
Sb S O
20 12 20
Cartesian
0.0000 0.0000 0.0000
1.4285 4.3141 4.6569
3.9595 10.5242 13.7283
3.4498 7.2218 10.3531
3.6291 10.8739 2.6469
2.8911 8.4174 0.2468
4.2214 9.6112 7.6939
3.4722 7.1424 5.2981
6.4963 16.7460 13.0047
5.9803 13.4403 9.6305
5.6646 13.6968 3.3028
4.2216 4.7525 7.9571
4.0131 3.8329 1.9181
6.0155 6.1668 12.9915
7.2016 10.0224 10.9932
6.0389 8.1903 2.6588
6.9167 9.8315 5.2989
8.5647 13.9404 12.3679
6.9105 4.5203 10.3628
8.9060 14.1763 6.0213
3.6749 11.0305 11.2997
2.0736 5.2661 1.8883
4.9994 12.7122 6.0444
6.2562 12.9451 12.0575
3.7443 3.3302 4.3495
3.1013 1.6706 1.1125
6.9381 11.2888 8.8233
7.8922 14.9067 9.5634
7.8901 9.0499 13.7916
8.8385 12.6761 14.5414
6.9789 3.0510 6.8304
6.3243 1.4198 3.5931
2.0146 5.8273 5.7417
2.8425 8.6411 6.5412
5.3654 15.7322 14.3383
2.8422 5.7149 9.1111
7.1142 18.2526 14.2403
4.5963 8.2559 9.0389
4.2629 9.3928 1.3979
5.0835 12.1886 2.1983
4.6044 6.1266 6.6343
5.5047 9.8026 3.7220
5.6086 8.9444 6.4565
7.9560 15.4397 13.4623
8.3678 17.8218 11.9357
5.6133 5.4165 9.1947
10.1888 18.5481 14.1549
7.4414 6.1348 11.4244
7.8176 8.5167 9.9057
7.4384 8.2136 4.2415
7.3573 9.0781 1.5141
8.3326 11.8973 1.3162
```

Properties
size of the total moment = 2.29 μB per cell
space-group type = P1, No. 1
formation enthalpy at 0 K = -1.19 eV per atom
total energy after the MP2020 corrections = -5.6313 eV per atom

---

Here is a geometry-optimized Sb2S3O12 structure from the Materials Project. Energies are from PBE.

POSCAR file:
```
Sb2S3O12
1.0
4.6517 2.6856 7.6021
-4.6517 2.6856 7.6021
0.0000 -5.3713 7.6021
Sb S O
4 6 24
Cartesian
0.0000 0.0000 3.1635
0.0000 0.0000 8.2398
0.0000 0.0000 14.5667
0.0000 0.0000 19.6430
-3.2781 -0.3066 9.5027
-1.3735 -2.9923 13.3038
1.9046 -2.6856 9.5027
-1.9046 2.6856 13.3038
1.3735 2.9923 9.5027
3.2781 0.3066 13.3038
-3.7251 -1.0025 10.7299
-3.8985 1.0572 9.4179
-0.9944 -1.6440 6.9288
-2.8648 -2.8476 13.3886
-0.9944 -3.7273 12.0766
-1.7868 -0.1620 9.5875
1.0337 -3.9048 9.4179
-0.9265 1.6832 6.9288
-0.7532 -1.6284 13.2190
-2.7307 2.7248 12.0766
1.0337 -1.4665 9.5875
-1.9209 0.0392 15.8776
1.9209 -0.0392 6.9288
-1.0337 1.4665 13.2190
2.7307 -2.7248 10.7299
0.7532 1.6284 9.5875
0.9265 -1.6832 15.8776
-1.0337 3.9048 13.3886
1.7868 0.1620 13.2190
0.9944 3.7273 10.7299
2.8648 2.8476 9.4179
0.9944 1.6440 15.8776
3.8985 -1.0572 13.3886
3.7251 1.0025 12.0766
```

Properties
size of the total moment = 0.00 μB per cell
space-group type = R-3c, No. 167
formation enthalpy at 0 K = -1.77 eV per atom
total energy after the MP2020 corrections = -6.4776 eV per atom